## Na2O (r²SCAN)

Data for Na2O after structural relaxation.

Cell lengths 6.0559, 6.0559, 3.5664 Å; angles 90.00, 90.00, 120.00 degrees
Last column: nearest neighbours and their distance in Å.
Positions (direct):
Na (0.0000, 0.4151, 0.0000)  5 O 2.51-2.55, 2 Na 2.66
Na (0.0000, 0.7408, 0.5000)  4 O 2.28-2.38
Na (0.2592, 0.2592, 0.5000)  4 O 2.28-2.38
Na (0.4151, 0.0000, 0.0000)  5 O 2.51-2.55, 2 Na 2.66
Na (0.5849, 0.5849, 0.0000)  5 O 2.51-2.55, 2 Na 2.66
Na (0.7408, 0.0000, 0.5000)  4 O 2.28-2.38
O (0.0000, 0.0000, 0.0000)  9 Na 2.38-2.51
O (0.3333, 0.6667, 0.5000)  9 Na 2.28-2.55
O (0.6667, 0.3333, 0.5000)  9 Na 2.28-2.55

For the formation energy, the calculation gives -1.317 eV/atom. The total energy is -51.2 eV per cell. The space-group type is No. 189. The magnetic moment is 0.000 μB per formula unit.

## TiAl2 (r²SCAN)

Data for TiAl2 after structural relaxation.

Cell lengths 12.3951, 12.3951, 12.3951 Å; angles 161.67, 161.67, 26.04 degrees
Last column: nearest neighbours and their distance in Å.
Positions (direct):
Ti (0.2970, 0.5470, 0.7500)  10 Al 2.73-2.86, 2 Ti 3.01
Ti (0.4530, 0.7030, 0.7500)  10 Al 2.73-2.86, 2 Ti 3.01
Ti (0.5470, 0.2970, 0.2500)  10 Al 2.73-2.86, 2 Ti 3.01
Ti (0.7030, 0.4530, 0.2500)  10 Al 2.73-2.86, 2 Ti 3.01
Al (0.0386, 0.7886, 0.2500)  6 Al 2.72-2.87, 6 Ti 2.80-2.86
Al (0.1250, 0.3750, 0.7500)  4 Ti 2.73, 8 Al 2.79-2.87
Al (0.2114, 0.9614, 0.2500)  6 Al 2.72-2.87, 6 Ti 2.80-2.86
Al (0.3750, 0.1250, 0.2500)  4 Ti 2.73, 8 Al 2.79-2.87
Al (0.6250, 0.8750, 0.7500)  4 Ti 2.73, 8 Al 2.79-2.87
Al (0.7886, 0.0386, 0.7500)  6 Al 2.72-2.87, 6 Ti 2.80-2.86
Al (0.8750, 0.6250, 0.2500)  4 Ti 2.73, 8 Al 2.79-2.87
Al (0.9614, 0.2114, 0.7500)  6 Al 2.72-2.87, 6 Ti 2.80-2.86

For the formation energy, the calculation gives -0.473 eV/atom. The total energy is -111.3 eV per cell. The space-group type is No. 141. The magnetic moment is 0.000 μB per formula unit.

## U2S3 (r²SCAN)

Data for U2S3 after structural relaxation.

Cell lengths 10.8196, 3.9007, 10.6890 Å; angles 90.00, 90.00, 90.00 degrees
Last column: nearest neighbours and their distance in Å.
Positions (direct):
U (0.0111, 0.2500, 0.1858)  7 S 2.81-2.86
U (0.1926, 0.2500, 0.5101)  7 S 2.86-2.91
U (0.3074, 0.7500, 0.0101)  7 S 2.86-2.91
U (0.4889, 0.7500, 0.6858)  7 S 2.81-2.86
U (0.5111, 0.2500, 0.3142)  7 S 2.81-2.86
U (0.6926, 0.2500, 0.9899)  7 S 2.86-2.91
U (0.8074, 0.7500, 0.4899)  7 S 2.86-2.91
U (0.9889, 0.7500, 0.8142)  7 S 2.81-2.86
S (0.0498, 0.7500, 0.3719)  5 U 2.82-2.91
S (0.1222, 0.2500, 0.9469)  5 U 2.81-2.88
S (0.2252, 0.7500, 0.7032)  4 U 2.82-2.86
S (0.2748, 0.2500, 0.2032)  4 U 2.82-2.86
S (0.3778, 0.7500, 0.4469)  5 U 2.81-2.88
S (0.4502, 0.2500, 0.8719)  5 U 2.82-2.91
S (0.5498, 0.7500, 0.1281)  5 U 2.82-2.91
S (0.6222, 0.2500, 0.5531)  5 U 2.81-2.88
S (0.7252, 0.7500, 0.7968)  4 U 2.82-2.86
S (0.7748, 0.2500, 0.2968)  4 U 2.82-2.86
S (0.8778, 0.7500, 0.0531)  5 U 2.81-2.88
S (0.9502, 0.2500, 0.6281)  5 U 2.82-2.91

For the formation energy, the calculation gives -1.920 eV/atom. The total energy is -774.3 eV per cell. The space-group type is No. 62. The magnetic moment is 5.795 μB per formula unit.